VASP calculation (r2SCAN) on a relaxed structure of Re2MoSe4.

Structure (POSCAR):
```
Re2MoSe4
1.0
6.729 0.000 0.000
-0.439 6.717 0.000
-0.381 -0.462 6.707
Re Mo Se
4 2 8
direct
0.000 0.000 0.000 Re
0.041 0.213 0.348 Re
0.693 0.175 0.137 Re
0.867 0.309 0.828 Re
0.216 0.349 0.040 Mo
0.910 0.523 0.177 Mo
0.081 0.638 0.855 Se
0.179 0.135 0.709 Se
0.242 0.543 0.377 Se
0.327 0.026 0.215 Se
0.581 0.487 0.966 Se
0.668 0.977 0.806 Se
0.727 0.385 0.467 Se
0.828 0.889 0.316 Se
```

Properties
As for the crystal system: triclinic. Its total energy is -384.023 eV/cell. The energy relative to the elements comes out at -0.553 eV/atom. Its total magnetization is 0.000 μB per formula unit.